Below is SrTiFe3Bi3O12 after structural relaxation, with properties calculated at the PBE+U level.

Unit cell a=5.6336 b=5.6336 c=27.9592 alpha=90.00 beta=90.00 gamma=120.00
Space group R3 (No. 146, hexagonal axes)
Asymmetric unit:
Sr1 0.0000 0.0000 0.0000 (multiplicity 3)
Ti1 0.0000 0.0000 0.3762 (multiplicity 3)
Fe1 0.0000 0.0000 0.1201 (multiplicity 3)
Fe2 0.0000 0.0000 0.6241 (multiplicity 3)
Fe3 0.0000 0.0000 0.8719 (multiplicity 3)
Bi1 0.0000 0.0000 0.2623 (multiplicity 3)
Bi2 0.0000 0.0000 0.5119 (multiplicity 3)
Bi3 0.0000 0.0000 0.7619 (multiplicity 3)
O1 0.0126 0.5749 0.2404 (multiplicity 9)
O2 0.0173 0.4332 0.4886 (multiplicity 9)
O3 0.0205 0.4568 0.9901 (multiplicity 9)
O4 0.0994 0.7650 0.0745 (multiplicity 9)

Results
Its formation enthalpy at 0 K is -2.113 eV/atom. The value obtained for the energy is -6.665 eV/atom.